1.
Compound: LiMn2Si2O7
Source: the Materials Project
Functional: PBE with a Hubbard U
Structure: optimized geometry

Geometry as POSCAR:
```
LiMn2Si2O7
1.0
0.837 -1.905 4.470
3.662 2.022 2.610
-9.059 8.493 5.616
Li Mn Si O
2 4 4 14
direct
0.349 0.285 0.915 Li
0.715 0.651 0.415 Li
0.989 0.950 0.255 Mn
0.050 0.011 0.755 Mn
0.048 0.949 0.019 Mn
0.051 0.953 0.519 Mn
0.714 0.638 0.855 Si
0.362 0.286 0.355 Si
0.712 0.600 0.642 Si
0.400 0.288 0.142 Si
0.201 0.658 0.151 O
0.342 0.798 0.651 O
0.104 0.647 0.359 O
0.353 0.896 0.859 O
0.322 0.144 0.244 O
0.856 0.678 0.744 O
0.856 0.661 0.544 O
0.339 0.144 0.044 O
0.937 0.668 0.933 O
0.332 0.063 0.433 O
0.804 0.235 0.647 O
0.765 0.196 0.147 O
0.739 0.292 0.852 O
0.708 0.262 0.352 O
```

Results
The space-group type is Cc (9). As for the total energy: -7.441 eV/atom. As for the magnetization: 1.994 μB/cell. Its MP2020-corrected energy is -8.12 eV per atom.



2.
Compound: Li2Mn5Si12O30
Source: the Materials Project
Functional: PBE with a Hubbard U
Structure: optimized geometry

Geometry as POSCAR:
```
Li2Mn5Si12O30
1.0
5.203 -9.012 0.000
5.203 9.012 0.000
0.000 0.000 14.677
Li Mn Si O
4 10 24 60
direct
0.333 0.667 0.750 Li
0.000 0.000 0.500 Li
0.000 0.000 0.000 Li
0.667 0.333 0.250 Li
0.000 0.499 0.500 Mn
0.000 0.499 0.000 Mn
0.333 0.667 0.004 Mn
0.333 0.667 0.496 Mn
0.501 0.501 0.000 Mn
0.501 0.501 0.500 Mn
0.667 0.333 0.996 Mn
0.667 0.333 0.504 Mn
0.499 0.000 0.000 Mn
0.499 0.000 0.500 Mn
0.113 0.765 0.359 Si
0.113 0.765 0.141 Si
0.234 0.886 0.859 Si
0.234 0.886 0.641 Si
0.114 0.348 0.859 Si
0.114 0.348 0.641 Si
0.235 0.348 0.141 Si
0.235 0.348 0.359 Si
0.652 0.887 0.141 Si
0.652 0.887 0.359 Si
0.348 0.235 0.641 Si
0.348 0.235 0.859 Si
0.652 0.766 0.641 Si
0.652 0.766 0.859 Si
0.348 0.114 0.359 Si
0.348 0.114 0.141 Si
0.766 0.652 0.141 Si
0.766 0.652 0.359 Si
0.887 0.652 0.859 Si
0.887 0.652 0.641 Si
0.765 0.113 0.859 Si
0.765 0.113 0.641 Si
0.886 0.234 0.141 Si
0.886 0.234 0.359 Si
0.057 0.785 0.615 O
0.057 0.785 0.885 O
0.218 0.943 0.384 O
0.218 0.943 0.116 O
0.124 0.742 0.250 O
0.155 0.662 0.418 O
0.155 0.662 0.082 O
0.257 0.863 0.750 O
0.158 0.498 0.915 O
0.158 0.498 0.585 O
0.057 0.274 0.116 O
0.057 0.274 0.384 O
0.339 0.842 0.915 O
0.339 0.842 0.585 O
0.137 0.394 0.750 O
0.258 0.382 0.250 O
0.507 0.845 0.418 O
0.507 0.845 0.082 O
0.215 0.272 0.885 O
0.215 0.272 0.615 O
0.338 0.493 0.418 O
0.338 0.493 0.082 O
0.272 0.215 0.115 O
0.272 0.215 0.385 O
0.618 0.876 0.250 O
0.502 0.661 0.585 O
0.502 0.661 0.915 O
0.274 0.057 0.884 O
0.274 0.057 0.616 O
0.606 0.743 0.750 O
0.382 0.258 0.750 O
0.728 0.943 0.885 O
0.728 0.943 0.615 O
0.493 0.338 0.918 O
0.493 0.338 0.582 O
0.394 0.137 0.250 O
0.726 0.782 0.116 O
0.726 0.782 0.384 O
0.661 0.502 0.085 O
0.661 0.502 0.415 O
0.782 0.726 0.884 O
0.782 0.726 0.616 O
0.498 0.158 0.085 O
0.498 0.158 0.415 O
0.743 0.606 0.250 O
0.876 0.618 0.750 O
0.662 0.155 0.918 O
0.662 0.155 0.582 O
0.943 0.728 0.115 O
0.943 0.728 0.385 O
0.845 0.507 0.918 O
0.845 0.507 0.582 O
0.742 0.124 0.750 O
0.842 0.339 0.085 O
0.842 0.339 0.415 O
0.863 0.257 0.250 O
0.785 0.057 0.115 O
0.785 0.057 0.385 O
0.943 0.218 0.884 O
0.943 0.218 0.616 O
```

Results
The space-group type is P-62c (190). As for the total energy: -7.705 eV/atom. As for the magnetization: 49.998 μB/cell. Its MP2020-corrected energy is -8.30 eV per atom.



3.
Compound: LiMnSi2O6
Source: the Materials Project
Functional: PBE with a Hubbard U
Structure: optimized geometry

Geometry as POSCAR:
```
LiMnSi2O6
1.0
5.222 0.000 0.000
0.014 8.924 0.000
0.246 0.063 18.414
Li Mn Si O
8 8 16 48
direct
0.627 0.988 0.123 Li
0.127 0.511 0.124 Li
0.623 0.841 0.375 Li
0.625 0.506 0.375 Li
0.874 0.002 0.623 Li
0.875 0.345 0.623 Li
0.377 0.660 0.877 Li
0.875 0.841 0.877 Li
0.613 0.352 0.126 Mn
0.111 0.147 0.126 Mn
0.120 0.648 0.375 Mn
0.129 0.009 0.373 Mn
0.371 0.512 0.624 Mn
0.379 0.148 0.623 Mn
0.372 0.998 0.875 Mn
0.872 0.501 0.876 Mn
0.696 0.659 0.029 Si
0.195 0.840 0.029 Si
0.430 0.657 0.228 Si
0.937 0.837 0.228 Si
0.441 0.164 0.272 Si
0.938 0.340 0.272 Si
0.705 0.164 0.473 Si
0.208 0.340 0.473 Si
0.797 0.664 0.525 Si
0.293 0.841 0.525 Si
0.068 0.662 0.727 Si
0.571 0.845 0.727 Si
0.082 0.157 0.771 Si
0.576 0.340 0.772 Si
0.788 0.164 0.972 Si
0.288 0.335 0.972 Si
0.402 0.708 0.054 O
0.901 0.791 0.054 O
0.792 0.162 0.061 O
0.293 0.337 0.061 O
0.781 0.507 0.072 O
0.280 0.992 0.072 O
0.451 0.176 0.182 O
0.955 0.321 0.182 O
0.938 0.005 0.195 O
0.441 0.492 0.194 O
0.662 0.768 0.201 O
0.164 0.728 0.195 O
0.164 0.228 0.306 O
0.671 0.265 0.304 O
0.940 0.506 0.303 O
0.426 0.998 0.309 O
0.427 0.660 0.317 O
0.957 0.835 0.317 O
0.818 0.019 0.430 O
0.298 0.491 0.433 O
0.816 0.651 0.437 O
0.285 0.847 0.436 O
0.406 0.201 0.446 O
0.909 0.300 0.453 O
0.098 0.699 0.553 O
0.593 0.800 0.547 O
0.683 0.152 0.562 O
0.223 0.343 0.563 O
0.684 0.518 0.568 O
0.196 0.989 0.566 O
0.076 0.158 0.683 O
0.548 0.344 0.685 O
0.560 0.009 0.691 O
0.073 0.500 0.685 O
0.350 0.725 0.694 O
0.844 0.773 0.696 O
0.350 0.227 0.806 O
0.851 0.268 0.801 O
0.582 0.501 0.813 O
0.080 0.995 0.812 O
0.058 0.650 0.814 O
0.554 0.845 0.815 O
0.675 0.017 0.932 O
0.176 0.483 0.933 O
0.701 0.646 0.941 O
0.200 0.854 0.941 O
0.093 0.196 0.946 O
0.594 0.305 0.946 O
```

Results
The space-group type is P1 (1). As for the total energy: -7.368 eV/atom. As for the magnetization: 32.000 μB/cell. The calculation puts the energy above the lowest structure with this stoichiometry at 23.2 meV per atom. Its MP2020-corrected energy is -7.95 eV per atom.



4.
Compound: Li4MnSi2O7
Source: the Materials Project
Functional: PBE with a Hubbard U
Structure: optimized geometry

Geometry as POSCAR:
```
Li4MnSi2O7
1.0
0.000 5.490 0.000
-13.487 0.000 0.210
-0.638 0.000 8.137
Li Mn Si O
16 4 8 28
direct
0.159 0.422 0.876 Li
0.659 0.922 0.876 Li
0.841 0.422 0.376 Li
0.341 0.922 0.376 Li
0.177 0.293 0.594 Li
0.677 0.793 0.594 Li
0.823 0.293 0.094 Li
0.323 0.793 0.094 Li
0.355 0.224 0.947 Li
0.855 0.724 0.947 Li
0.645 0.224 0.447 Li
0.145 0.724 0.447 Li
0.690 0.495 0.021 Li
0.190 0.995 0.021 Li
0.310 0.495 0.521 Li
0.810 0.995 0.521 Li
0.339 0.649 0.799 Mn
0.661 0.649 0.299 Mn
0.839 0.149 0.799 Mn
0.161 0.149 0.299 Mn
0.670 0.365 0.737 Si
0.170 0.865 0.737 Si
0.330 0.365 0.237 Si
0.830 0.865 0.237 Si
0.334 0.074 0.671 Si
0.834 0.574 0.671 Si
0.666 0.074 0.171 Si
0.166 0.574 0.171 Si
0.686 0.474 0.605 O
0.186 0.974 0.605 O
0.314 0.474 0.105 O
0.814 0.974 0.105 O
0.816 0.388 0.902 O
0.316 0.888 0.902 O
0.184 0.388 0.402 O
0.684 0.888 0.402 O
0.385 0.337 0.770 O
0.885 0.837 0.770 O
0.615 0.337 0.270 O
0.115 0.837 0.270 O
0.811 0.279 0.640 O
0.311 0.779 0.640 O
0.189 0.279 0.140 O
0.689 0.779 0.140 O
0.313 0.165 0.525 O
0.813 0.665 0.525 O
0.687 0.165 0.025 O
0.187 0.665 0.025 O
0.197 0.107 0.837 O
0.697 0.607 0.837 O
0.803 0.107 0.337 O
0.303 0.607 0.337 O
0.620 0.043 0.705 O
0.120 0.543 0.705 O
0.380 0.043 0.205 O
0.880 0.543 0.205 O
```

Results
As for the total energy: -6.748 eV/atom. As for the magnetization: 0.000 μB/cell. The calculation puts the energy above the lowest structure with this stoichiometry at 0.0 meV per atom. Its MP2020-corrected energy is -7.21 eV per atom.



5.
Compound: Li2MnSi4O11
Source: the Materials Project
Functional: PBE with a Hubbard U
Structure: optimized geometry

Geometry as POSCAR:
```
Li2MnSi4O11
1.0
0.744 -2.482 7.997
5.489 4.945 -4.010
-6.911 4.780 0.226
Li Mn Si O
4 2 8 22
direct
0.651 0.618 0.269 Li
0.382 0.651 0.033 Li
0.618 0.349 0.967 Li
0.349 0.382 0.731 Li
0.244 0.244 0.000 Mn
0.756 0.756 0.000 Mn
0.497 0.176 0.286 Si
0.110 0.789 0.286 Si
0.176 0.890 0.679 Si
0.789 0.503 0.679 Si
0.824 0.110 0.321 Si
0.211 0.497 0.321 Si
0.503 0.824 0.714 Si
0.890 0.211 0.714 Si
0.000 0.000 0.000 O
0.500 0.500 0.000 O
0.448 0.211 0.105 O
0.894 0.657 0.105 O
0.290 0.039 0.328 O
0.675 0.410 0.459 O
0.049 0.784 0.459 O
0.590 0.049 0.266 O
0.216 0.675 0.266 O
0.211 0.106 0.763 O
0.657 0.552 0.763 O
0.961 0.290 0.251 O
0.039 0.710 0.749 O
0.789 0.894 0.237 O
0.343 0.448 0.237 O
0.784 0.325 0.734 O
0.410 0.951 0.734 O
0.951 0.216 0.541 O
0.325 0.590 0.541 O
0.710 0.961 0.672 O
0.106 0.343 0.895 O
0.552 0.789 0.895 O
```

Results
The space-group type is I4/m (87). As for the total energy: -7.266 eV/atom. As for the magnetization: 6.003 μB/cell. The calculation puts the energy above the lowest structure with this stoichiometry at 0.0 meV per atom. Its MP2020-corrected energy is -7.78 eV per atom.



6.
Compound: Li2MnSi3O8
Source: the Materials Project
Functional: PBE with a Hubbard U
Structure: optimized geometry

Geometry as POSCAR:
```
Li2MnSi3O8
1.0
7.004 -0.001 -0.024
-0.001 9.995 0.001
-0.141 0.001 10.280
Li Mn Si O
8 4 12 32
direct
0.006 0.126 0.097 Li
0.006 0.126 0.597 Li
0.494 0.627 0.153 Li
0.494 0.626 0.653 Li
0.523 0.349 0.320 Li
0.523 0.349 0.820 Li
0.977 0.849 0.430 Li
0.977 0.849 0.930 Li
0.513 0.175 0.576 Mn
0.987 0.674 0.174 Mn
0.513 0.175 0.076 Mn
0.987 0.675 0.674 Mn
0.976 0.331 0.365 Si
0.976 0.331 0.865 Si
0.524 0.831 0.385 Si
0.524 0.831 0.885 Si
0.281 0.912 0.129 Si
0.281 0.913 0.629 Si
0.219 0.412 0.121 Si
0.219 0.413 0.621 Si
0.776 0.594 0.425 Si
0.776 0.594 0.925 Si
0.724 0.094 0.325 Si
0.724 0.094 0.825 Si
0.068 0.856 0.103 O
0.068 0.856 0.603 O
0.432 0.356 0.147 O
0.432 0.356 0.647 O
0.058 0.338 0.218 O
0.058 0.338 0.718 O
0.442 0.838 0.033 O
0.442 0.838 0.533 O
0.360 0.869 0.278 O
0.360 0.869 0.778 O
0.140 0.369 0.472 O
0.140 0.369 0.972 O
0.229 0.571 0.141 O
0.229 0.571 0.641 O
0.271 0.071 0.109 O
0.271 0.071 0.609 O
0.586 0.673 0.353 O
0.586 0.673 0.852 O
0.914 0.173 0.398 O
0.914 0.173 0.898 O
0.538 0.171 0.377 O
0.538 0.171 0.877 O
0.962 0.671 0.373 O
0.962 0.671 0.873 O
0.716 0.932 0.375 O
0.716 0.931 0.875 O
0.784 0.432 0.375 O
0.784 0.431 0.875 O
0.744 0.602 0.079 O
0.744 0.603 0.579 O
0.756 0.103 0.171 O
0.756 0.103 0.671 O
```

Results
As for the total energy: -7.267 eV/atom. The calculation puts the energy above the lowest structure with this stoichiometry at 0.0 meV per atom. Its MP2020-corrected energy is -7.78 eV per atom.



7.
Compound: Li3MnSiO5
Source: the Materials Project
Functional: PBE with a Hubbard U
Structure: optimized geometry

Geometry as POSCAR:
```
Li3MnSiO5
1.0
5.008 0.000 0.000
0.000 5.487 0.000
0.000 0.000 15.884
Li Mn Si O
12 4 4 20
direct
0.994 0.164 0.591 Li
0.994 0.664 0.909 Li
0.499 0.836 0.994 Li
0.499 0.336 0.506 Li
0.509 0.827 0.803 Li
0.509 0.327 0.697 Li
0.494 0.836 0.409 Li
0.494 0.336 0.091 Li
0.999 0.164 0.006 Li
0.999 0.664 0.494 Li
0.009 0.673 0.303 Li
0.009 0.173 0.197 Li
0.008 0.672 0.697 Mn
0.008 0.172 0.803 Mn
0.508 0.828 0.197 Mn
0.508 0.328 0.303 Mn
0.006 0.663 0.098 Si
0.006 0.163 0.402 Si
0.506 0.837 0.598 Si
0.506 0.337 0.902 Si
0.099 0.841 0.796 O
0.099 0.341 0.704 O
0.103 0.880 0.398 O
0.103 0.380 0.102 O
0.104 0.814 0.015 O
0.104 0.314 0.485 O
0.105 0.810 0.186 O
0.105 0.310 0.314 O
0.169 0.830 0.602 O
0.169 0.330 0.898 O
0.599 0.159 0.204 O
0.599 0.659 0.296 O
0.603 0.120 0.602 O
0.603 0.620 0.898 O
0.604 0.686 0.515 O
0.604 0.186 0.985 O
0.605 0.690 0.686 O
0.605 0.190 0.814 O
0.669 0.670 0.102 O
0.669 0.170 0.398 O
```

Results
The space-group type is Pna2_1 (33). As for the total energy: -6.512 eV/atom. As for the magnetization: 16.000 μB/cell. Its MP2020-corrected energy is -7.02 eV per atom.



no.,energy of formation from the pure elements (kJ per mole of atoms)
1,-255.03
2,-282.18
3,-268.85
4,-266.47
5,-272.85
6,-276.12
7,-242.83